Entry 1:
Below is a relaxed ScTl3F6 crystal, with properties calculated at the GGA-PBE level.

Values from the calculation:
**Energy above the lowest structure with this stoichiometry**: 0.0 meV per atom
**Space group**: P4/mnc (128)
**Energy of formation**: -2.9270 eV/atom

Lattice parameters (Å, degrees): 6.5436 6.5436 9.4520 90.00 90.00 90.00
Fractional coordinates of all 20 atoms:
Sc 0.0000 0.0000 0.0000
Sc 0.5000 0.5000 0.5000
Tl 0.0000 0.0000 0.5000
Tl 0.0000 0.5000 0.2500
Tl 0.0000 0.5000 0.7500
Tl 0.5000 0.0000 0.2500
Tl 0.5000 0.0000 0.7500
Tl 0.5000 0.5000 0.0000
F 0.0000 0.0000 0.2160
F 0.0000 0.0000 0.7840
F 0.1417 0.2781 0.0000
F 0.2219 0.3583 0.5000
F 0.2781 0.8583 0.0000
F 0.3583 0.7781 0.5000
F 0.5000 0.5000 0.2840
F 0.5000 0.5000 0.7160
F 0.6417 0.2219 0.5000
F 0.7219 0.1417 0.0000
F 0.7781 0.6417 0.5000
F 0.8583 0.7219 0.0000

Entry 2:
Below is a relaxed SrCuTe2O6 crystal, with properties calculated at the GGA-PBE level.

Values from the calculation:
**Space group**: P4_132 (213)
**Energy of formation**: -1.8296 eV/atom

Lattice parameters (Å, degrees): 12.6296 12.6296 12.6296 90.00 90.00 90.00
Fractional coordinates of all 120 atoms:
Sr 0.0544 0.0544 0.0544
Sr 0.1250 0.3750 0.6250
Sr 0.1956 0.8044 0.3044
Sr 0.3044 0.1956 0.8044
Sr 0.3750 0.6250 0.1250
Sr 0.4456 0.9456 0.5544
Sr 0.5544 0.4456 0.9456
Sr 0.6250 0.1250 0.3750
Sr 0.6956 0.6956 0.6956
Sr 0.8044 0.3044 0.1956
Sr 0.8750 0.8750 0.8750
Sr 0.9456 0.5544 0.4456
Cu 0.0241 0.1250 0.7741
Cu 0.1250 0.7741 0.0241
Cu 0.2259 0.5241 0.3750
Cu 0.2741 0.4759 0.8750
Cu 0.3750 0.2259 0.5241
Cu 0.4759 0.8750 0.2741
Cu 0.5241 0.3750 0.2259
Cu 0.6250 0.7259 0.9759
Cu 0.7259 0.9759 0.6250
Cu 0.7741 0.0241 0.1250
Cu 0.8750 0.2741 0.4759
Cu 0.9759 0.6250 0.7259
Te 0.0606 0.3375 0.9209
Te 0.0791 0.5606 0.1625
Te 0.0875 0.3106 0.3291
Te 0.1625 0.0791 0.5606
Te 0.1709 0.9125 0.8106
Te 0.1894 0.6709 0.5875
Te 0.3106 0.3291 0.0875
Te 0.3291 0.0875 0.3106
Te 0.3375 0.9209 0.0606
Te 0.4125 0.6894 0.8291
Te 0.4209 0.4394 0.6625
Te 0.4394 0.6625 0.4209
Te 0.5606 0.1625 0.0791
Te 0.5791 0.9394 0.8375
Te 0.5875 0.1894 0.6709
Te 0.6625 0.4209 0.4394
Te 0.6709 0.5875 0.1894
Te 0.6894 0.8291 0.4125
Te 0.8106 0.1709 0.9125
Te 0.8291 0.4125 0.6894
Te 0.8375 0.5791 0.9394
Te 0.9125 0.8106 0.1709
Te 0.9209 0.0606 0.3375
Te 0.9394 0.8375 0.5791
O 0.0158 0.2278 0.4369
O 0.0198 0.6311 0.2787
O 0.0222 0.7658 0.6869
O 0.0287 0.8811 0.2302
O 0.0631 0.9842 0.7278
O 0.0707 0.8784 0.9221
O 0.0779 0.5707 0.6216
O 0.1189 0.7302 0.4713
O 0.1216 0.4221 0.4293
O 0.1284 0.1793 0.6721
O 0.1311 0.2213 0.9802
O 0.1721 0.3716 0.8207
O 0.1793 0.6721 0.1284
O 0.1869 0.4778 0.2342
O 0.2213 0.9802 0.1311
O 0.2278 0.4369 0.0158
O 0.2302 0.0287 0.8811
O 0.2342 0.1869 0.4778
O 0.2658 0.8131 0.9778
O 0.2698 0.9713 0.3811
O 0.2722 0.5631 0.5158
O 0.2787 0.0198 0.6311
O 0.3131 0.5222 0.7342
O 0.3207 0.3279 0.6284
O 0.3279 0.6284 0.3207
O 0.3689 0.7787 0.4802
O 0.3716 0.8207 0.1721
O 0.3784 0.5779 0.9293
O 0.3811 0.2698 0.9713
O 0.4221 0.4293 0.1216
O 0.4293 0.1216 0.4221
O 0.4369 0.0158 0.2278
O 0.4713 0.1189 0.7302
O 0.4778 0.2342 0.1869
O 0.4802 0.3689 0.7787
O 0.4842 0.7722 0.9369
O 0.5158 0.2722 0.5631
O 0.5198 0.8689 0.7213
O 0.5222 0.7342 0.3131
O 0.5287 0.6189 0.7698
O 0.5631 0.5158 0.2722
O 0.5707 0.6216 0.0779
O 0.5779 0.9293 0.3784
O 0.6189 0.7698 0.5287
O 0.6216 0.0779 0.5707
O 0.6284 0.3207 0.3279
O 0.6311 0.2787 0.0198
O 0.6721 0.1284 0.1793
O 0.6793 0.8279 0.8716
O 0.6869 0.0222 0.7658
O 0.7213 0.5198 0.8689
O 0.7278 0.0631 0.9842
O 0.7302 0.4713 0.1189
O 0.7342 0.3131 0.5222
O 0.7658 0.6869 0.0222
O 0.7698 0.5287 0.6189
O 0.7722 0.9369 0.4842
O 0.7787 0.4802 0.3689
O 0.8131 0.9778 0.2658
O 0.8207 0.1721 0.3716
O 0.8279 0.8716 0.6793
O 0.8689 0.7213 0.5198
O 0.8716 0.6793 0.8279
O 0.8784 0.9221 0.0707
O 0.8811 0.2302 0.0287
O 0.9221 0.0707 0.8784
O 0.9293 0.3784 0.5779
O 0.9369 0.4842 0.7722
O 0.9713 0.3811 0.2698
O 0.9778 0.2658 0.8131
O 0.9802 0.1311 0.2213
O 0.9842 0.7278 0.0631

Entry 3:
Below is a relaxed Pr2UTe4 crystal, with properties calculated at the GGA-PBE level.

Values from the calculation:
**Space group**: I-42d (122)
**Energy of formation**: -1.3883 eV/atom

Lattice parameters (Å, degrees): 8.2355 8.2355 8.2355 109.38 109.38 109.66
Fractional coordinates of all 14 atoms:
Pr 0.9997 0.1250 0.3747
Pr 0.3750 0.0003 0.1253
Pr 0.7503 0.6250 0.6253
Pr 0.8750 0.2497 0.8747
U 0.2500 0.7500 0.5000
U 0.5000 0.5000 0.0000
Te 0.1300 0.0296 0.7491
Te 0.1309 0.5305 0.7509
Te 0.2805 0.3809 0.2509
Te 0.4695 0.2204 0.6004
Te 0.6191 0.8700 0.8996
Te 0.6200 0.8691 0.3996
Te 0.7796 0.3800 0.2491
Te 0.9704 0.7195 0.1004

Entry 4:
Below is a relaxed TmAu crystal, with properties calculated at the GGA-PBE level.

Values from the calculation:
**Space group**: Pm-3m (221)
**Energy of formation**: -0.8952 eV/atom

Lattice parameters (Å, degrees): 3.5598 3.5598 3.5598 90.00 90.00 90.00
Fractional coordinates of all 2 atoms:
Tm 0.0000 0.0000 0.0000
Au 0.5000 0.5000 0.5000

Entry 5:
Below is a relaxed Sm2MgSe4 crystal, with properties calculated at the GGA-PBE level.

Values from the calculation:
**Energy above the lowest structure with this stoichiometry**: 179.9 meV per atom
**Space group**: Pnma (62)
**Energy of formation**: -1.7603 eV/atom

Lattice parameters (Å, degrees): 8.2978 7.7686 12.2911 90.00 90.00 90.00
Fractional coordinates of all 28 atoms:
Sm 0.0531 0.2500 0.1866
Sm 0.0613 0.7500 0.4725
Sm 0.4387 0.2500 0.9725
Sm 0.4469 0.7500 0.6866
Sm 0.5531 0.2500 0.3134
Sm 0.5613 0.7500 0.0275
Sm 0.9387 0.2500 0.5275
Sm 0.9469 0.7500 0.8134
Mg 0.1794 0.7500 0.0906
Mg 0.3206 0.2500 0.5906
Mg 0.6794 0.7500 0.4094
Mg 0.8206 0.2500 0.9094
Se 0.1086 0.2500 0.9538
Se 0.1363 0.0001 0.6564
Se 0.1363 0.4999 0.6564
Se 0.2241 0.2500 0.3877
Se 0.2759 0.7500 0.8877
Se 0.3637 0.9999 0.1564
Se 0.3637 0.5001 0.1564
Se 0.3914 0.7500 0.4538
Se 0.6086 0.2500 0.5462
Se 0.6363 0.0001 0.8436
Se 0.6363 0.4999 0.8436
Se 0.7241 0.2500 0.1123
Se 0.7759 0.7500 0.6123
Se 0.8637 0.9999 0.3436
Se 0.8637 0.5001 0.3436
Se 0.8914 0.7500 0.0462

Entry 6:
Below is a relaxed La2In crystal, with properties calculated at the GGA-PBE level.

Values from the calculation:
**Space group**: P6_3/mmc (194)
**Energy of formation**: -0.3543 eV/atom

Lattice parameters (Å, degrees): 5.6531 5.6531 7.1341 90.00 90.00 120.00
Fractional coordinates of all 6 atoms:
La 0.0000 0.0000 0.0000
La 0.0000 0.0000 0.5000
La 0.3333 0.6667 0.2500
La 0.6667 0.3333 0.7500
In 0.3333 0.6667 0.7500
In 0.6667 0.3333 0.2500